# 1
CrBr3: relaxed, r²SCAN.

Geometry as POSCAR:
```
CrBr3
1.0
6.3785 0.0000 0.0000
-3.1892 5.5239 0.0000
0.0000 0.0000 18.9479
Cr Br
6 18
direct
0.0000 0.0000 0.0003
0.0000 0.0000 0.3321
0.3333 0.6667 0.3324
0.3333 0.6667 0.6671
0.6667 0.3333 0.0000
0.6667 0.3333 0.6674
0.9995 0.6449 0.5914
0.0006 0.3551 0.7431
0.0212 0.3328 0.4081
0.0218 0.6878 0.2564
0.3122 0.3340 0.2564
0.3116 0.9788 0.4081
0.3328 0.3116 0.9243
0.3338 0.0217 0.0759
0.3551 0.3546 0.5914
0.3545 0.9994 0.7431
0.6454 0.0005 0.5914
0.6449 0.6455 0.7431
0.6660 0.9782 0.2564
0.6672 0.6884 0.4081
0.6884 0.0212 0.9243
0.6879 0.6662 0.0759
0.9783 0.3121 0.0759
0.9788 0.6672 0.9243
```

## Properties
ΔH_f (0 K)	-1086	meV per atom
magnetization	18.0	Bohr magnetons per cell
space group	P3 (143)
ρ	4.35	Mg/m³
crystal system	trigonal

***

# 2
SiO2: relaxed, r²SCAN.

Geometry as POSCAR:
```
SiO2
1.0
6.7579 -10.5863 0.0000
6.7579 10.5863 0.0000
0.0000 0.0000 12.5705
Si O
28 56
direct
0.0367 0.1875 0.0000
0.0419 0.1868 0.3756
0.0419 0.1868 0.6244
0.0501 0.3500 0.1930
0.0501 0.3500 0.8070
0.1676 0.6068 0.1263
0.1676 0.6068 0.8737
0.1875 0.0367 0.0000
0.1868 0.0419 0.3756
0.1868 0.0419 0.6244
0.3500 0.0501 0.1930
0.3500 0.0501 0.8070
0.3932 0.8324 0.1263
0.3932 0.8324 0.8737
0.6068 0.1676 0.1263
0.6068 0.1676 0.8737
0.6500 0.9499 0.1930
0.6500 0.9499 0.8070
0.8132 0.9581 0.3756
0.8132 0.9581 0.6244
0.8125 0.9633 0.0000
0.8324 0.3932 0.1263
0.8324 0.3932 0.8737
0.9499 0.6500 0.1930
0.9499 0.6500 0.8070
0.9581 0.8132 0.3756
0.9581 0.8132 0.6244
0.9633 0.8125 0.0000
0.0382 0.2154 0.5000
0.0642 0.3032 0.3088
0.0642 0.3032 0.6912
0.0703 0.2680 0.1046
0.0703 0.2680 0.8954
0.0798 0.6547 0.1805
0.0798 0.6547 0.8195
0.0822 0.9178 0.3403
0.0822 0.9178 0.6597
0.1025 0.8975 0.0000
0.1099 0.1099 0.0000
0.1406 0.5905 0.0000
0.1465 0.1465 0.3536
0.1465 0.1465 0.6464
0.1480 0.4829 0.1787
0.1480 0.4829 0.8213
0.2154 0.0382 0.5000
0.2680 0.0703 0.1046
0.2680 0.0703 0.8954
0.3013 0.6987 0.1469
0.3013 0.6987 0.8531
0.3032 0.0642 0.3088
0.3032 0.0642 0.6912
0.3453 0.9202 0.1805
0.3453 0.9202 0.8195
0.4095 0.8594 0.0000
0.4829 0.1480 0.1787
0.4829 0.1480 0.8213
0.5171 0.8520 0.1787
0.5171 0.8520 0.8213
0.5905 0.1406 0.0000
0.6547 0.0798 0.1805
0.6547 0.0798 0.8195
0.6968 0.9358 0.3088
0.6968 0.9358 0.6912
0.6987 0.3013 0.1469
0.6987 0.3013 0.8531
0.7320 0.9297 0.1046
0.7320 0.9297 0.8954
0.7846 0.9618 0.5000
0.8520 0.5171 0.1787
0.8520 0.5171 0.8213
0.8535 0.8535 0.3536
0.8535 0.8535 0.6464
0.8594 0.4095 0.0000
0.8901 0.8901 0.0000
0.8975 0.1025 0.0000
0.9178 0.0822 0.3403
0.9178 0.0822 0.6597
0.9202 0.3453 0.1805
0.9202 0.3453 0.8195
0.9297 0.7320 0.1046
0.9297 0.7320 0.8954
0.9358 0.6968 0.3088
0.9358 0.6968 0.6912
0.9618 0.7846 0.5000
```

## Properties
ΔH_f (0 K)	-3016	meV per atom
magnetization	0.0	Bohr magnetons per cell
space group	Cmmm (65)
ρ	1.55	Mg/m³
crystal system	orthorhombic

***

# 3
ErZn: relaxed, r²SCAN.

Geometry as POSCAR:
```
ErZn
1.0
3.5079 0.0000 0.0000
0.0000 3.5079 0.0000
0.0000 0.0000 3.5079
Er Zn
1 1
direct
0.0000 0.0000 0.0000
0.5000 0.5000 0.5000
```

## Properties
ΔH_f (0 K)	-393	meV per atom
magnetization	0.0	Bohr magnetons per cell
space group	Pm-3m (221)
ρ	8.95	Mg/m³
crystal system	cubic

***

# 4
Tm4Ga12Pd: relaxed, r²SCAN.

Geometry as POSCAR:
```
Tm4Ga12Pd
1.0
-4.2443 4.2443 4.2443
4.2443 -4.2443 4.2443
4.2443 4.2443 -4.2443
Tm Ga Pd
4 12 1
direct
0.0000 0.0000 0.5000
0.0000 0.5000 0.0000
0.5000 0.0000 0.0000
0.5000 0.5000 0.5000
0.0000 0.2973 0.2973
0.0000 0.7027 0.7027
0.2500 0.5000 0.7500
0.2500 0.7500 0.5000
0.2973 0.0000 0.2973
0.2973 0.2973 0.0000
0.5000 0.2500 0.7500
0.5000 0.7500 0.2500
0.7027 0.0000 0.7027
0.7027 0.7027 0.0000
0.7500 0.2500 0.5000
0.7500 0.5000 0.2500
0.0000 0.0000 0.0000
```

## Properties
ΔH_f (0 K)	-623	meV per atom
magnetization	0.0	Bohr magnetons per cell
space group	Im-3m (229)
ρ	8.79	Mg/m³
crystal system	cubic

***

# 5
Er3Lu: relaxed, r²SCAN.

Geometry as POSCAR:
```
Er3Lu
1.0
7.1418 0.0000 0.0000
-3.5709 6.1850 0.0000
0.0000 0.0000 5.4930
Er Lu
6 2
direct
0.1672 0.3344 0.2500
0.1672 0.8328 0.2500
0.3344 0.1672 0.7500
0.6656 0.8328 0.2500
0.8328 0.1672 0.7500
0.8328 0.6656 0.7500
0.3333 0.6667 0.7500
0.6667 0.3333 0.2500
```

## Properties
ΔH_f (0 K)	11	meV per atom
magnetization	0.0	Bohr magnetons per cell
space group	P6_3/mmc (194)
ρ	9.26	Mg/m³
crystal system	hexagonal

***

# 6
YbPrO2: relaxed, r²SCAN.

Geometry as POSCAR:
```
YbPrO2
1.0
4.9209 0.0000 0.0000
0.0000 4.9209 0.0000
0.0000 0.0000 9.6843
Yb Pr O
4 4 8
direct
0.0000 0.2500 0.3750
0.0000 0.7500 0.6250
0.5000 0.2500 0.1250
0.5000 0.7500 0.8750
0.0000 0.2500 0.8750
0.0000 0.7500 0.1250
0.5000 0.2500 0.6250
0.5000 0.7500 0.3750
0.0000 0.2500 0.1427
0.0000 0.2500 0.6073
0.0000 0.7500 0.3927
0.0000 0.7500 0.8573
0.5000 0.2500 0.3573
0.5000 0.2500 0.8927
0.5000 0.7500 0.1073
0.5000 0.7500 0.6427
```

## Properties
ΔH_f (0 K)	-2942	meV per atom
excess energy over the best structure of this formula in the dataset	1.00	eV per formula unit
magnetization	0.0	Bohr magnetons per cell
space group	I4_1/amd (141)
ρ	9.80	Mg/m³
crystal system	tetragonal

***

Please write out number 6 again, unchanged.
YbPrO2: relaxed, r²SCAN.

Geometry as POSCAR:
```
YbPrO2
1.0
4.9209 0.0000 0.0000
0.0000 4.9209 0.0000
0.0000 0.0000 9.6843
Yb Pr O
4 4 8
direct
0.0000 0.2500 0.3750
0.0000 0.7500 0.6250
0.5000 0.2500 0.1250
0.5000 0.7500 0.8750
0.0000 0.2500 0.8750
0.0000 0.7500 0.1250
0.5000 0.2500 0.6250
0.5000 0.7500 0.3750
0.0000 0.2500 0.1427
0.0000 0.2500 0.6073
0.0000 0.7500 0.3927
0.0000 0.7500 0.8573
0.5000 0.2500 0.3573
0.5000 0.2500 0.8927
0.5000 0.7500 0.1073
0.5000 0.7500 0.6427
```

## Properties
ΔH_f (0 K)	-2942	meV per atom
excess energy over the best structure of this formula in the dataset	1.00	eV per formula unit
magnetization	0.0	Bohr magnetons per cell
space group	I4_1/amd (141)
ρ	9.80	Mg/m³
crystal system	tetragonal

***

Q: The lowest ΔH_f (0 K) belongs to which entry?
A: SiO2

***

Q: magnetization of number 4 (Tm4Ga12Pd)?
A: 0.0 Bohr magnetons per cell